Entry 1:
# K2MgMo2P2Cl2O10 PBE with a Hubbard U relaxed
data_K2MgMo2P2Cl2O10
_symmetry_space_group_name_H-M 'C 1 m 1'
_symmetry_Int_Tables_number 8
_cell_length_a 9.246
_cell_length_b 9.593
_cell_length_c 7.558
_cell_angle_alpha 90.00
_cell_angle_beta 99.70
_cell_angle_gamma 90.00
loop_
_symmetry_equiv_pos_as_xyz
'x,y,z'
'x,-y,z'
'x+1/2,y+1/2,z'
'x+1/2,-y+1/2,z'
loop_
_atom_site_label
_atom_site_type_symbol
_atom_site_fract_x
_atom_site_fract_y
_atom_site_fract_z
K1 K 0.000 0.186 0.000
Mg1 Mg 0.030 0.500 0.308
Mo1 Mo 0.349 0.500 0.492
Mo2 Mo 0.363 0.000 0.668
P1 P 0.096 0.251 0.576
Cl1 Cl 0.247 0.500 0.132
Cl2 Cl 0.359 0.000 0.027
O1 O 0.019 0.336 0.708
O2 O 0.164 0.355 0.452
O3 O 0.215 0.163 0.692
O4 O 0.355 0.000 0.425
O5 O 0.394 0.500 0.735
O6 O 0.490 0.339 0.443
# Energy with MP2020 corrections ... -266.02 eV for the cell shown
# Formation enthalpy at 0 K ... -2.29 eV per atom
# Total magnetization ... 4.00 μB/f.u.
# Crystal system ... monoclinic
# VASP energy ... -6.302 eV per atom

---

Entry 2:
# Rb2MgP2WO10 PBE with a Hubbard U relaxed
data_Rb2MgP2WO10
_symmetry_space_group_name_H-M 'P b c a'
_symmetry_Int_Tables_number 61
_cell_length_a 10.007
_cell_length_b 12.858
_cell_length_c 15.686
_cell_angle_alpha 90.00
_cell_angle_beta 90.00
_cell_angle_gamma 90.00
loop_
_symmetry_equiv_pos_as_xyz
'x,y,z'
'-x,-y,-z'
'-x+1/2,-y,z+1/2'
'x+1/2,y,-z+1/2'
'x+1/2,-y+1/2,-z'
'-x+1/2,y+1/2,z'
'-x,y+1/2,-z+1/2'
'x,-y+1/2,z+1/2'
loop_
_atom_site_label
_atom_site_type_symbol
_atom_site_fract_x
_atom_site_fract_y
_atom_site_fract_z
Rb1 Rb 0.106 0.133 0.108
Rb2 Rb 0.108 0.673 0.654
Mg1 Mg 0.000 0.126 0.498
P1 P 0.077 0.005 0.665
P2 P 0.242 0.744 0.408
W1 W 0.249 0.507 0.857
O1 O 0.061 0.501 0.786
O2 O 0.091 0.023 0.907
O3 O 0.092 0.105 0.613
O4 O 0.099 0.596 0.115
O5 O 0.123 0.241 0.452
O6 O 0.124 0.749 0.968
O7 O 0.140 0.501 0.951
O8 O 0.190 0.009 0.735
O9 O 0.229 0.647 0.346
O10 O 0.233 0.663 0.842
# Energy with MP2020 corrections ... -957.53 eV for the cell shown
# Formation enthalpy at 0 K ... -2.68 eV per atom
# Total magnetization ... 0.00 μB/f.u.
# Crystal system ... orthorhombic
# VASP energy ... -6.774 eV per atom

---

Entry 3:
# MgMn6O8F4 PBE with a Hubbard U relaxed
data_MgMn6O8F4
_symmetry_space_group_name_H-M 'P 1'
_symmetry_Int_Tables_number 1
_cell_length_a 5.176
_cell_length_b 5.772
_cell_length_c 7.717
_cell_angle_alpha 81.43
_cell_angle_beta 82.67
_cell_angle_gamma 80.21
loop_
_symmetry_equiv_pos_as_xyz
'x,y,z'
loop_
_atom_site_label
_atom_site_type_symbol
_atom_site_fract_x
_atom_site_fract_y
_atom_site_fract_z
Mg1 Mg 0.000 0.000 0.000
Mn1 Mn 0.019 0.375 0.186
Mn2 Mn 0.486 0.160 0.831
Mn3 Mn 0.487 0.516 0.494
Mn4 Mn 0.493 0.842 0.174
Mn5 Mn 0.948 0.987 0.489
Mn6 Mn 0.952 0.631 0.815
O1 O 0.133 0.030 0.247
O2 O 0.137 0.681 0.581
O3 O 0.138 0.329 0.929
O4 O 0.374 0.878 0.942
O5 O 0.622 0.797 0.397
O6 O 0.819 0.321 0.414
O7 O 0.834 0.977 0.752
O8 O 0.851 0.682 0.067
F1 F 0.331 0.524 0.246
F2 F 0.351 0.218 0.584
F3 F 0.634 0.463 0.754
F4 F 0.657 0.166 0.078
# Energy with MP2020 corrections ... -147.51 eV for the cell shown
# Formation enthalpy at 0 K ... -2.30 eV per atom
# Offset from the most stable computed form ... 13 meV/atom
# Total magnetization ... 24.00 μB/f.u.
# Crystal system ... triclinic
# VASP energy ... -6.851 eV per atom